Record 1
# Na2OsO4, optimized geometry, DFT r2SCAN
data_Na2OsO4
_cell_length_a 9.4729
_cell_length_b 9.4729
_cell_length_c 3.1702
_cell_angle_alpha 90.00
_cell_angle_beta 90.00
_cell_angle_gamma 120.00
_space_group_name_H-M_alt 'P -6 2 m'
_space_group_IT_number 189
_space_group_name_Hall 'P -6 -2'
loop_
_atom_site_label
_atom_site_type_symbol
_atom_site_fract_x
_atom_site_fract_y
_atom_site_fract_z
Na1 Na 0.0000 0.0000 0.0000
Na2 Na 0.0000 0.6943 0.5000
Na3 Na 0.3333 0.6667 0.5000
Os1 Os 0.0000 0.3292 0.0000
O1 O 0.0000 0.1920 0.5000
O2 O 0.0000 0.4578 0.5000
O3 O 0.2149 0.7814 0.0000
# Total magnetic moment: 0.0 μB per formula unit
# Volume: 246 Å³ per cell
# E_form: -1.50 eV/atom
# VASP energy: -13.500 eV/atom

***

Record 2
# Li2Mg, optimized geometry, DFT r2SCAN
data_Li2Mg
_cell_length_a 3.0813
_cell_length_b 16.0369
_cell_length_c 5.0470
_cell_angle_alpha 90.00
_cell_angle_beta 90.00
_cell_angle_gamma 90.00
_space_group_name_H-M_alt 'C m c m'
_space_group_IT_number 63
_space_group_name_Hall '-C 2c 2'
loop_
_atom_site_label
_atom_site_type_symbol
_atom_site_fract_x
_atom_site_fract_y
_atom_site_fract_z
Li1 Li 0.0000 0.0537 0.2500
Li2 Li 0.0000 0.3884 0.2500
Mg1 Mg 0.0000 0.2807 0.7500
# Total magnetic moment: 0.0 μB per formula unit
# Volume: 249 Å³ per cell
# E_form: -0.02 eV/atom
# VASP energy: -2.998 eV/atom

***

> The lowest volume belongs to which entry?

Na2OsO4

***

> Look up the volume of the second one.

249 Å³ per cell

***

> What is the total magnetic moment in the second record?

0.0 μB per formula unit